VASP calculation (GGA-PBE) on an optimized crystal structure of BaTiS6O21.

Properties
Energy of formation from the pure elements in eV per atom: -2.103

Geometry as CIF:
```
data_BaTiS6O21
_chemical_formula_sum 'Ba4 Ti4 S24 O84'
_cell_length_a 7.318
_cell_length_b 13.389
_cell_length_c 18.444
_cell_angle_alpha 90.00
_cell_angle_beta 92.93
_cell_angle_gamma 90.00
_space_group_name_H-M_alt 'P 1 21/c 1'
_space_group_IT_number 14
loop_
_space_group_symop_operation_xyz
'x,y,z'
'-x,-y,-z'
'-x,y+1/2,-z+1/2'
'x,-y+1/2,z+1/2'
loop_
_atom_site_label
_atom_site_fract_x
_atom_site_fract_y
_atom_site_fract_z
Ba1 0.061 0.246 0.009
Ti1 0.299 0.632 0.254
S1 0.060 0.233 0.732
S2 0.214 0.511 0.401
S3 0.215 0.522 0.098
S4 0.262 0.648 0.837
S5 0.400 0.048 0.124
S6 0.441 0.696 0.095
O1 0.058 0.578 0.070
O2 0.061 0.695 0.228
O3 0.077 0.636 0.781
O4 0.097 0.227 0.162
O5 0.126 0.081 0.916
O6 0.178 0.544 0.324
O7 0.191 0.594 0.450
O8 0.200 0.652 0.910
O9 0.206 0.195 0.778
O10 0.238 0.529 0.180
O11 0.239 0.079 0.574
O12 0.255 0.522 0.631
O13 0.294 0.745 0.563
O14 0.336 0.750 0.316
O15 0.377 0.131 0.074
O16 0.377 0.210 0.428
O17 0.377 0.568 0.816
O18 0.401 0.578 0.071
O19 0.431 0.022 0.904
O20 0.436 0.693 0.176
O21 0.477 0.083 0.198
```


VASP calculation (GGA-PBE) on an optimized crystal structure of Ba3Sb2O6.

Properties
Energy of formation from the pure elements in eV per atom: -2.573

Geometry as CIF:
```
data_Ba3Sb2O6
_chemical_formula_sum 'Ba9 Sb6 O18'
_cell_length_a 6.273
_cell_length_b 9.932
_cell_length_c 12.372
_cell_angle_alpha 104.93
_cell_angle_beta 90.40
_cell_angle_gamma 108.22
_space_group_name_H-M_alt 'P -1'
_space_group_IT_number 2
loop_
_space_group_symop_operation_xyz
'x,y,z'
'-x,-y,-z'
loop_
_atom_site_label
_atom_site_fract_x
_atom_site_fract_y
_atom_site_fract_z
Ba1 0.000 0.000 0.000
Ba2 0.152 0.278 0.789
Ba3 0.218 0.400 0.203
Ba4 0.389 0.788 0.438
Ba5 0.484 0.963 0.798
Sb1 0.045 0.097 0.375
Sb2 0.236 0.494 0.582
Sb3 0.317 0.666 0.992
O1 0.011 0.566 0.322
O2 0.030 0.114 0.219
O3 0.064 0.747 0.014
O4 0.205 0.950 0.343
O5 0.266 0.041 0.642
O6 0.371 0.708 0.649
O7 0.396 0.674 0.147
O8 0.437 0.421 0.659
O9 0.438 0.157 0.020
```


VASP calculation (GGA-PBE) on an optimized crystal structure of BaSb4O7.

Properties
Energy of formation from the pure elements in eV per atom: -1.544

Geometry as CIF:
```
data_BaSb4O7
_chemical_formula_sum 'Ba2 Sb8 O14'
_cell_length_a 7.5425
_cell_length_b 7.5425
_cell_length_c 13.4708
_cell_angle_alpha 90.00
_cell_angle_beta 90.00
_cell_angle_gamma 120.00
_space_group_name_H-M_alt 'P 63 m c'
_space_group_IT_number 186
_space_group_name_Hall 'P 6c -2c'
loop_
_atom_site_label
_atom_site_fract_x
_atom_site_fract_y
_atom_site_fract_z
Ba1 0.3333 0.6667 0.0000
Sb1 0.0000 0.0000 0.0670
Sb2 0.1664 0.3329 0.7891
O1 0.0000 0.0000 0.3337
O2 0.0674 0.5337 0.8490
O3 0.1384 0.2769 0.6335
```


VASP calculation (GGA-PBE) on an optimized crystal structure of BaSb4O8.

Properties
Energy of formation from the pure elements in eV per atom: -1.808

Geometry as CIF:
```
data_BaSb4O8
_chemical_formula_sum 'Ba1 Sb4 O8'
_cell_length_a 6.2819
_cell_length_b 6.2819
_cell_length_c 7.1236
_cell_angle_alpha 90.00
_cell_angle_beta 90.00
_cell_angle_gamma 120.00
_space_group_name_H-M_alt 'P -3 1 m'
_space_group_IT_number 162
_space_group_name_Hall '-P 3 2'
loop_
_atom_site_label
_atom_site_fract_x
_atom_site_fract_y
_atom_site_fract_z
Ba1 0.0000 0.0000 0.0000
Sb1 0.3333 0.6667 0.2772
O1 0.0000 0.3443 0.2668
O2 0.3333 0.6667 0.0000
```


VASP calculation (GGA-PBE) on an optimized crystal structure of Ba3Sb4O.

Properties
Energy of formation from the pure elements in eV per atom: -1.267

Geometry as CIF:
```
data_Ba3Sb4O
_chemical_formula_sum 'Ba12 Sb16 O4'
_cell_length_a 7.127
_cell_length_b 13.030
_cell_length_c 13.132
_cell_angle_alpha 90.00
_cell_angle_beta 112.37
_cell_angle_gamma 90.00
_space_group_name_H-M_alt 'P 1 21/c 1'
_space_group_IT_number 14
loop_
_space_group_symop_operation_xyz
'x,y,z'
'-x,-y,-z'
'-x,y+1/2,-z+1/2'
'x,-y+1/2,z+1/2'
loop_
_atom_site_label
_atom_site_fract_x
_atom_site_fract_y
_atom_site_fract_z
Ba1 0.112 0.052 0.222
Ba2 0.296 0.558 0.047
Ba3 0.309 0.233 0.978
Sb1 0.150 0.156 0.686
Sb2 0.204 0.731 0.765
Sb3 0.223 0.656 0.563
Sb4 0.431 0.018 0.843
O1 0.333 0.086 0.421
```


VASP calculation (GGA-PBE) on an optimized crystal structure of Ba2Sb3O7.

Properties
Energy of formation from the pure elements in eV per atom: -2.133

Geometry as CIF:
```
data_Ba2Sb3O7
_chemical_formula_sum 'Ba2 Sb3 O7'
_cell_length_a 4.168
_cell_length_b 11.712
_cell_length_c 4.156
_cell_angle_alpha 90.00
_cell_angle_beta 90.00
_cell_angle_gamma 90.00
_space_group_name_H-M_alt 'P m m 2'
_space_group_IT_number 25
loop_
_space_group_symop_operation_xyz
'x,y,z'
'-x,-y,z'
'-x,y,z'
'x,-y,z'
loop_
_atom_site_label
_atom_site_fract_x
_atom_site_fract_y
_atom_site_fract_z
Ba1 0.000 0.196 0.000
Sb1 0.500 0.000 0.552
Sb2 0.500 0.370 0.490
O1 0.000 0.000 0.412
O2 0.000 0.348 0.490
O3 0.500 0.184 0.481
O4 0.500 0.347 0.988
```


VASP calculation (GGA-PBE) on an optimized crystal structure of Ba2SmSbO6.

Properties
Energy of formation from the pure elements in eV per atom: -3.039

Geometry as CIF:
```
data_Ba2SmSbO6
_chemical_formula_sum 'Ba8 Sm4 Sb4 O24'
_cell_length_a 8.626
_cell_length_b 8.626
_cell_length_c 8.626
_cell_angle_alpha 90.00
_cell_angle_beta 90.00
_cell_angle_gamma 90.00
_space_group_name_H-M_alt 'P n -3'
_space_group_IT_number 201
loop_
_space_group_symop_operation_xyz
'x,y,z'
'-x,-y,-z'
'-x+1/2,-y+1/2,z'
'x+1/2,y+1/2,-z'
'x,-y+1/2,-z+1/2'
'-x,y+1/2,z+1/2'
'-x+1/2,y,-z+1/2'
'x+1/2,-y,z+1/2'
'z,x,y'
'-z,-x,-y'
'z,-x+1/2,-y+1/2'
'-z,x+1/2,y+1/2'
'-z+1/2,x,-y+1/2'
'z+1/2,-x,y+1/2'
'-z+1/2,-x+1/2,y'
'z+1/2,x+1/2,-y'
'y,z,x'
'-y,-z,-x'
'-y+1/2,z,-x+1/2'
'y+1/2,-z,x+1/2'
'-y+1/2,-z+1/2,x'
'y+1/2,z+1/2,-x'
'y,-z+1/2,-x+1/2'
'-y,z+1/2,x+1/2'
loop_
_atom_site_label
_atom_site_fract_x
_atom_site_fract_y
_atom_site_fract_z
Ba1 0.250 0.250 0.250
Ba2 0.250 0.250 0.750
Sm1 0.000 0.000 0.000
Sb1 0.000 0.000 0.500
O1 0.012 0.513 0.766
```


VASP calculation (GGA-PBE) on an optimized crystal structure of Ba2SmSbO6.

Properties
Energy of formation from the pure elements in eV per atom: -3.041

Geometry as CIF:
```
data_Ba2SmSbO6
_chemical_formula_sum 'Ba8 Sm4 Sb4 O24'
_cell_length_a 8.623
_cell_length_b 8.623
_cell_length_c 8.623
_cell_angle_alpha 90.00
_cell_angle_beta 90.00
_cell_angle_gamma 90.00
_space_group_name_H-M_alt 'F m -3 m'
_space_group_IT_number 225
_space_group_name_Hall '-F 4 2 3'
loop_
_atom_site_label
_atom_site_fract_x
_atom_site_fract_y
_atom_site_fract_z
Ba1 0.250 0.250 0.250
Sm1 0.000 0.000 0.000
Sb1 0.000 0.000 0.500
O1 0.000 0.000 0.266
```


Question: What is the formula in the sixth record?
Answer: Ba2Sb3O7


Repeat the fifth record exactly.
VASP calculation (GGA-PBE) on an optimized crystal structure of Ba3Sb4O.

Properties
Energy of formation from the pure elements in eV per atom: -1.267

Geometry as CIF:
```
data_Ba3Sb4O
_chemical_formula_sum 'Ba12 Sb16 O4'
_cell_length_a 7.127
_cell_length_b 13.030
_cell_length_c 13.132
_cell_angle_alpha 90.00
_cell_angle_beta 112.37
_cell_angle_gamma 90.00
_space_group_name_H-M_alt 'P 1 21/c 1'
_space_group_IT_number 14
loop_
_space_group_symop_operation_xyz
'x,y,z'
'-x,-y,-z'
'-x,y+1/2,-z+1/2'
'x,-y+1/2,z+1/2'
loop_
_atom_site_label
_atom_site_fract_x
_atom_site_fract_y
_atom_site_fract_z
Ba1 0.112 0.052 0.222
Ba2 0.296 0.558 0.047
Ba3 0.309 0.233 0.978
Sb1 0.150 0.156 0.686
Sb2 0.204 0.731 0.765
Sb3 0.223 0.656 0.563
Sb4 0.431 0.018 0.843
O1 0.333 0.086 0.421
```